# HoSnPd, optimized geometry, DFT r2SCAN
data_HoSnPd
_chemical_formula_sum 'Ho4 Sn4 Pd4'
_cell_length_a 7.1536
_cell_length_b 4.6024
_cell_length_c 7.9296
_cell_angle_alpha 90.00
_cell_angle_beta 90.00
_cell_angle_gamma 90.00
_space_group_name_H-M_alt 'P 1'
_space_group_IT_number 1
loop_
_space_group_symop_operation_xyz
'x,y,z'
loop_
_atom_site_label
_atom_site_fract_x
_atom_site_fract_y
_atom_site_fract_z
Ho1 0.0080 0.2500 0.2069
Ho2 0.4920 0.7500 0.7069
Ho3 0.5080 0.2500 0.2931
Ho4 0.9920 0.7500 0.7931
Sn1 0.1955 0.2500 0.5879
Sn2 0.3045 0.7500 0.0879
Sn3 0.6955 0.2500 0.9121
Sn4 0.8045 0.7500 0.4121
Pd1 0.2050 0.7500 0.4166
Pd2 0.2950 0.2500 0.9166
Pd3 0.7050 0.7500 0.0834
Pd4 0.7950 0.2500 0.5834
# Total moment ... 0.0 μB per formula unit
# Calculated total energy ... -27.84 eV per atom
# E_form ... -0.98 eV per atom